A plane-wave DFT calculation with PBE was carried out for an optimized crystal structure of Cu3BiTe2ClO8.

Summary:
M_tot, μB per formula unit: 0.1
Raw total energy, eV per formula unit: -76.6
Formation enthalpy at 0 K, eV per atom: -1.21

Lattice parameters (Å, degrees): 14.533 10.024 6.449 90.00 90.00 90.00
Space group Pnma (No. 62)
Unique sites:
Cu1 0.141 0.250 0.194 x4
Cu2 0.241 0.012 0.515 x8
Bi1 0.135 0.750 0.765 x4
Te1 0.043 0.563 0.242 x8
Cl1 0.178 0.250 0.780 x4
O1 0.037 0.121 0.178 x8
O2 0.114 0.558 0.493 x8
O3 0.140 0.602 0.050 x8
O4 0.238 0.114 0.250 x8